No. 1
V4O7F5: relaxed, PBE with a Hubbard U.

abc: 5.2867 5.2867 8.7779
angles: 75.07 75.07 59.15
Fractional positions:
V 0.7809 0.5226 0.6192
V 0.4774 0.2191 0.3808
V 0.1986 0.0145 0.1298
V 0.9855 0.8014 0.8702
O 0.7984 0.6958 0.7552
O 0.8360 0.1596 0.7919
O 0.8404 0.1640 0.2081
O 0.1669 0.3378 0.5416
O 0.3042 0.2016 0.2448
O 0.2100 0.7900 0.0000
O 0.6622 0.8331 0.4584
F 0.3359 0.6756 0.2926
F 0.3244 0.6641 0.7074
F 0.7070 0.2930 0.5000
F 0.1846 0.3124 0.9558
F 0.6876 0.8154 0.0442

Computed properties:
Total moment in μB/f.u.: 1.00
SG: No. 5
ΔH_f (0 K) in meV/atom: -2536.9
Density in g/cm3: 3.39
Calculated total energy in eV/atom: -6.70


No. 2
VOF2: relaxed, PBE with a Hubbard U.

abc: 5.0358 7.6136 5.2558
angles: 92.57 90.00 90.00
Fractional positions:
V 0.4999 0.5000 0.5001
V 0.4999 0.0000 0.4999
V 0.9999 0.5000 0.0000
V 0.0000 0.9999 0.9999
O 0.7862 0.5352 0.2853
O 0.7862 0.9649 0.7147
O 0.2140 0.0350 0.2853
O 0.2140 0.4651 0.7147
F 0.8894 0.2500 0.0000
F 0.7042 0.9282 0.2033
F 0.7042 0.5718 0.7967
F 0.6057 0.2500 0.5000
F 0.3944 0.7500 0.5000
F 0.2958 0.4283 0.2033
F 0.2958 0.0717 0.7967
F 0.1106 0.7500 0.0000

Computed properties:
Total moment in μB/f.u.: 1.00
SG: No. 13
ΔH_f (0 K) in meV/atom: -2795.2
Density in g/cm3: 3.46
Calculated total energy in eV/atom: -6.43


No. 3
VOF3: relaxed, PBE with a Hubbard U.

abc: 5.3131 5.4901 5.5942
angles: 60.23 90.00 90.00
Fractional positions:
V 0.2719 0.0076 0.9378
V 0.7281 0.0076 0.4378
O 0.5423 0.0722 0.1772
O 0.4577 0.0722 0.6772
F 0.0243 0.9230 0.3375
F 0.3354 0.6526 0.1820
F 0.9757 0.9230 0.8375
F 0.8307 0.3446 0.3654
F 0.6646 0.6526 0.6820
F 0.1693 0.3446 0.8654

Computed properties:
Total moment in μB/f.u.: 0.00
Piezoelectric modulus e_max in C/m2: 1.63
SG: No. 7
ΔH_f (0 K) in meV/atom: -2690.6
Density in g/cm3: 2.91
Calculated total energy in eV/atom: -5.89


No. 4
V4O7F5: relaxed, PBE with a Hubbard U.

abc: 5.2696 5.3672 9.0211
angles: 73.73 89.93 60.24
Fractional positions:
V 0.7311 0.5235 0.2641
V 0.4526 0.0400 0.5100
V 0.2461 0.5470 0.7523
V 0.0412 0.0030 0.0150
O 0.9513 0.2374 0.1196
O 0.5652 0.7404 0.3749
O 0.4064 0.7504 0.0822
O 0.4117 0.7412 0.6624
O 0.4492 0.2375 0.6246
O 0.0526 0.7434 0.8676
O 0.1023 0.2403 0.4119
F 0.9220 0.7341 0.5866
F 0.9207 0.7447 0.1527
F 0.5990 0.2299 0.3386
F 0.5749 0.2377 0.9083
F 0.0738 0.2496 0.8294

Computed properties:
SG: No. 1
ΔH_f (0 K) in meV/atom: -2546.7
Density in g/cm3: 3.25
Calculated total energy in eV/atom: -6.71